1.
# LiMn2P3O12 PBE+U optimized geometry
data_LiMn2P3O12
_cell_length_a 8.474
_cell_length_b 8.250
_cell_length_c 11.753
_cell_angle_alpha 89.71
_cell_angle_beta 90.00
_cell_angle_gamma 90.00
_space_group_name_H-M_alt 'P 1'
_space_group_IT_number 1
_space_group_name_Hall 'P 1'
loop_
_atom_site_label
_atom_site_type_symbol
_atom_site_fract_x
_atom_site_fract_y
_atom_site_fract_z
Li1 Li 0.099 0.929 0.302
Li2 Li 0.599 0.571 0.198
Li3 Li 0.401 0.429 0.802
Li4 Li 0.901 0.071 0.698
Mn1 Mn 0.530 0.756 0.392
Mn2 Mn 0.030 0.744 0.108
Mn3 Mn 0.471 0.756 0.883
Mn4 Mn 0.971 0.744 0.617
Mn5 Mn 0.029 0.256 0.383
Mn6 Mn 0.529 0.244 0.117
Mn7 Mn 0.970 0.256 0.892
Mn8 Mn 0.470 0.244 0.608
P1 P 0.749 0.036 0.490
P2 P 0.613 0.110 0.854
P3 P 0.885 0.111 0.143
P4 P 0.113 0.390 0.646
P5 P 0.385 0.389 0.357
P6 P 0.249 0.464 0.010
P7 P 0.751 0.536 0.990
P8 P 0.615 0.611 0.643
P9 P 0.251 0.964 0.510
P10 P 0.387 0.890 0.146
P11 P 0.887 0.610 0.354
P12 P 0.115 0.889 0.857
O1 O 0.559 0.729 0.548
O2 O 0.327 0.065 0.605
O3 O 0.109 0.068 0.892
O4 O 0.424 0.066 0.180
O5 O 0.636 0.099 0.585
O6 O 0.718 0.161 0.181
O7 O 0.571 0.143 0.978
O8 O 0.998 0.130 0.247
O9 O 0.873 0.941 0.562
O10 O 0.673 0.935 0.395
O11 O 0.891 0.932 0.108
O12 O 0.576 0.934 0.820
O13 O 0.364 0.901 0.415
O14 O 0.205 0.873 0.162
O15 O 0.429 0.857 0.022
O16 O 0.002 0.870 0.753
O17 O 0.282 0.839 0.819
O18 O 0.170 0.815 0.563
O19 O 0.483 0.773 0.224
O20 O 0.059 0.771 0.952
O21 O 0.983 0.727 0.276
O22 O 0.127 0.059 0.438
O23 O 0.670 0.685 0.937
O24 O 0.782 0.661 0.681
O25 O 0.929 0.643 0.478
O26 O 0.705 0.627 0.338
O27 O 0.502 0.630 0.747
O28 O 0.864 0.599 0.085
O29 O 0.391 0.568 0.392
O30 O 0.173 0.565 0.105
O31 O 0.076 0.566 0.680
O32 O 0.373 0.559 0.938
O33 O 0.627 0.441 0.062
O34 O 0.924 0.434 0.320
O35 O 0.827 0.435 0.895
O36 O 0.609 0.432 0.608
O37 O 0.136 0.401 0.915
O38 O 0.498 0.370 0.253
O39 O 0.295 0.373 0.662
O40 O 0.071 0.357 0.522
O41 O 0.218 0.339 0.319
O42 O 0.330 0.315 0.063
O43 O 0.441 0.271 0.452
O44 O 0.017 0.273 0.724
O45 O 0.941 0.229 0.048
O46 O 0.517 0.227 0.776
O47 O 0.830 0.185 0.437
O48 O 0.795 0.127 0.838
# E above lowest polymorph (eV/atom): 0.008
# Energy of formation (eV/atom): -2.37
# Energy (eV/atom): -7.05
# SG: No. 14

***

2.
# LiMnPO4 PBE+U optimized geometry
data_LiMnPO4
_cell_length_a 4.629
_cell_length_b 5.309
_cell_length_c 7.611
_cell_angle_alpha 90.21
_cell_angle_beta 104.20
_cell_angle_gamma 104.40
_space_group_name_H-M_alt 'P 1'
_space_group_IT_number 1
_space_group_name_Hall 'P 1'
loop_
_atom_site_label
_atom_site_type_symbol
_atom_site_fract_x
_atom_site_fract_y
_atom_site_fract_z
Li1 Li 0.726 0.717 0.987
Li2 Li 0.274 0.283 0.013
Mn1 Mn 0.054 0.238 0.394
Mn2 Mn 0.946 0.762 0.606
P1 P 0.647 0.194 0.743
P2 P 0.353 0.806 0.257
O1 O 0.840 0.377 0.629
O2 O 0.687 0.914 0.381
O3 O 0.160 0.623 0.371
O4 O 0.313 0.086 0.619
O5 O 0.205 0.038 0.203
O6 O 0.638 0.343 0.914
O7 O 0.362 0.657 0.086
O8 O 0.795 0.962 0.797
# E above lowest polymorph (eV/atom): 0.051
# Energy of formation (eV/atom): -2.58
# Energy (eV/atom): -7.13
# SG: No. 2

***

3.
# Li2MnP2O8 PBE+U optimized geometry
data_Li2MnP2O8
_cell_length_a 5.030
_cell_length_b 5.030
_cell_length_c 13.709
_cell_angle_alpha 83.64
_cell_angle_beta 83.64
_cell_angle_gamma 55.03
_space_group_name_H-M_alt 'P 1'
_space_group_IT_number 1
_space_group_name_Hall 'P 1'
loop_
_atom_site_label
_atom_site_type_symbol
_atom_site_fract_x
_atom_site_fract_y
_atom_site_fract_z
Li1 Li 0.694 0.638 0.340
Li2 Li 0.638 0.694 0.840
Li3 Li 0.952 0.038 0.743
Li4 Li 0.038 0.952 0.243
Mn1 Mn 0.996 0.009 0.002
Mn2 Mn 0.009 0.996 0.502
P1 P 0.676 0.648 0.111
P2 P 0.648 0.676 0.611
P3 P 0.349 0.333 0.389
P4 P 0.333 0.349 0.889
O1 O 0.852 0.266 0.119
O2 O 0.775 0.512 0.711
O3 O 0.792 0.437 0.528
O4 O 0.954 0.698 0.081
O5 O 0.698 0.954 0.581
O6 O 0.437 0.792 0.028
O7 O 0.512 0.775 0.211
O8 O 0.266 0.852 0.619
O9 O 0.725 0.185 0.373
O10 O 0.514 0.149 0.801
O11 O 0.560 0.228 0.974
O12 O 0.334 0.030 0.420
O13 O 0.030 0.334 0.920
O14 O 0.228 0.560 0.474
O15 O 0.149 0.514 0.301
O16 O 0.185 0.725 0.873
# E above lowest polymorph (eV/atom): 0.035
# Energy of formation (eV/atom): -2.46
# Energy (eV/atom): -6.79
# SG: No. 9

***

4.
# LiMnP2O7 PBE+U optimized geometry
data_LiMnP2O7
_cell_length_a 9.714
_cell_length_b 9.812
_cell_length_c 11.155
_cell_angle_alpha 101.57
_cell_angle_beta 90.41
_cell_angle_gamma 89.96
_space_group_name_H-M_alt 'P 1'
_space_group_IT_number 1
_space_group_name_Hall 'P 1'
loop_
_atom_site_label
_atom_site_type_symbol
_atom_site_fract_x
_atom_site_fract_y
_atom_site_fract_z
Li1 Li 0.619 0.151 0.044
Li2 Li 0.389 0.405 0.974
Li3 Li 0.041 0.405 0.504
Li4 Li 0.605 0.584 0.025
Li5 Li 0.908 0.646 0.048
Li6 Li 0.093 0.916 0.978
Li7 Li 0.422 0.848 0.469
Li8 Li 0.716 0.894 0.546
Mn1 Mn 0.073 0.201 0.668
Mn2 Mn 0.789 0.258 0.828
Mn3 Mn 0.275 0.210 0.161
Mn4 Mn 0.578 0.316 0.343
Mn5 Mn 0.426 0.702 0.678
Mn6 Mn 0.721 0.768 0.831
Mn7 Mn 0.217 0.721 0.165
Mn8 Mn 0.931 0.812 0.337
P1 P 0.552 0.025 0.755
P2 P 0.282 0.115 0.877
P3 P 0.072 0.065 0.246
P4 P 0.849 0.137 0.430
P5 P 0.356 0.383 0.573
P6 P 0.575 0.435 0.760
P7 P 0.944 0.519 0.751
P8 P 0.794 0.378 0.117
P9 P 0.206 0.618 0.887
P10 P 0.066 0.465 0.240
P11 P 0.435 0.562 0.243
P12 P 0.658 0.636 0.425
P13 P 0.144 0.877 0.573
P14 P 0.923 0.927 0.757
P15 P 0.712 0.880 0.116
P16 P 0.439 0.963 0.236
O1 O 0.587 0.023 0.625
O2 O 0.147 0.033 0.569
O3 O 0.912 0.078 0.739
O4 O 0.647 0.115 0.854
O5 O 0.404 0.094 0.777
O6 O 0.175 0.198 0.816
O7 O 0.346 0.214 0.993
O8 O 0.736 0.018 0.086
O9 O 0.930 0.129 0.301
O10 O 0.081 0.069 0.112
O11 O 0.447 0.105 0.193
O12 O 0.711 0.199 0.408
O13 O 0.190 0.163 0.307
O14 O 0.941 0.225 0.530
O15 O 0.437 0.297 0.466
O16 O 0.693 0.336 0.703
O17 O 0.211 0.332 0.586
O18 O 0.955 0.367 0.785
O19 O 0.435 0.369 0.698
O20 O 0.565 0.429 0.894
O21 O 0.235 0.484 0.924
O22 O 0.834 0.270 0.001
O23 O 0.673 0.315 0.179
O24 O 0.918 0.391 0.214
O25 O 0.428 0.415 0.275
O26 O 0.167 0.375 0.151
O27 O 0.920 0.515 0.619
O28 O 0.671 0.489 0.442
O29 O 0.359 0.541 0.570
O30 O 0.094 0.479 0.372
O31 O 0.846 0.605 0.847
O32 O 0.587 0.584 0.735
O33 O 0.091 0.593 0.781
O34 O 0.322 0.689 0.831
O35 O 0.137 0.723 0.999
O36 O 0.769 0.521 0.090
O37 O 0.435 0.559 0.107
O38 O 0.577 0.632 0.295
O39 O 0.053 0.610 0.195
O40 O 0.795 0.707 0.408
O41 O 0.319 0.662 0.300
O42 O 0.571 0.734 0.521
O43 O 0.066 0.790 0.464
O44 O 0.802 0.834 0.692
O45 O 0.288 0.822 0.590
O46 O 0.543 0.873 0.787
O47 O 0.919 0.903 0.887
O48 O 0.061 0.862 0.695
O49 O 0.241 0.979 0.901
O50 O 0.667 0.766 0.001
O51 O 0.832 0.813 0.177
O52 O 0.588 0.888 0.211
O53 O 0.339 0.869 0.146
O54 O 0.079 0.914 0.272
O55 O 0.835 0.987 0.446
O56 O 0.413 0.973 0.368
# E above lowest polymorph (eV/atom): 0.060
# Energy of formation (eV/atom): -2.51
# Energy (eV/atom): -7.06
# SG: No. 1

***

5.
# LiMnP2O7 PBE+U optimized geometry
data_LiMnP2O7
_cell_length_a 13.355
_cell_length_b 5.050
_cell_length_c 9.616
_cell_angle_alpha 60.99
_cell_angle_beta 90.00
_cell_angle_gamma 90.00
_space_group_name_H-M_alt 'P 1'
_space_group_IT_number 1
_space_group_name_Hall 'P 1'
loop_
_atom_site_label
_atom_site_type_symbol
_atom_site_fract_x
_atom_site_fract_y
_atom_site_fract_z
Li1 Li 0.625 0.993 0.658
Li2 Li 0.375 0.007 0.342
Li3 Li 0.875 0.993 0.158
Li4 Li 0.125 0.007 0.842
Mn1 Mn 0.836 0.045 0.754
Mn2 Mn 0.164 0.955 0.246
Mn3 Mn 0.336 0.955 0.746
Mn4 Mn 0.664 0.045 0.254
P1 P 0.324 0.269 0.962
P2 P 0.030 0.483 0.225
P3 P 0.176 0.269 0.462
P4 P 0.676 0.731 0.038
P5 P 0.824 0.731 0.538
P6 P 0.470 0.483 0.725
P7 P 0.970 0.517 0.775
P8 P 0.530 0.517 0.275
O1 O 0.689 0.954 0.863
O2 O 0.058 0.318 0.417
O3 O 0.723 0.847 0.146
O4 O 0.189 0.046 0.637
O5 O 0.425 0.401 0.296
O6 O 0.890 0.261 0.858
O7 O 0.390 0.739 0.642
O8 O 0.047 0.231 0.178
O9 O 0.610 0.261 0.358
O10 O 0.777 0.847 0.646
O11 O 0.575 0.599 0.704
O12 O 0.282 0.582 0.920
O13 O 0.953 0.769 0.822
O14 O 0.925 0.599 0.204
O15 O 0.223 0.153 0.354
O16 O 0.110 0.739 0.142
O17 O 0.277 0.153 0.854
O18 O 0.811 0.954 0.363
O19 O 0.547 0.769 0.322
O20 O 0.311 0.046 0.137
O21 O 0.453 0.231 0.678
O22 O 0.942 0.682 0.583
O23 O 0.075 0.401 0.796
O24 O 0.718 0.418 0.080
O25 O 0.218 0.582 0.420
O26 O 0.782 0.418 0.580
O27 O 0.558 0.682 0.083
O28 O 0.442 0.318 0.917
# E above lowest polymorph (eV/atom): 0.047
# Energy of formation (eV/atom): -2.52
# Energy (eV/atom): -7.07
# SG: No. 14

***

6.
# Li13Mn6P8O32 PBE+U optimized geometry
data_Li13Mn6P8O32
_cell_length_a 8.067
_cell_length_b 7.983
_cell_length_c 11.536
_cell_angle_alpha 105.53
_cell_angle_beta 75.60
_cell_angle_gamma 74.79
_space_group_name_H-M_alt 'P 1'
_space_group_IT_number 1
_space_group_name_Hall 'P 1'
loop_
_atom_site_label
_atom_site_type_symbol
_atom_site_fract_x
_atom_site_fract_y
_atom_site_fract_z
Li1 Li 0.995 0.998 0.486
Li2 Li 0.533 0.188 0.712
Li3 Li 0.262 0.286 0.631
Li4 Li 0.239 0.212 0.381
Li5 Li 0.632 0.395 0.861
Li6 Li 0.271 0.244 0.986
Li7 Li 0.496 0.502 0.513
Li8 Li 0.057 0.728 0.722
Li9 Li 0.778 0.739 0.980
Li10 Li 0.383 0.583 0.109
Li11 Li 0.772 0.776 0.634
Li12 Li 0.738 0.727 0.380
Li13 Li 0.002 0.993 0.992
Mn1 Mn 0.518 0.250 0.211
Mn2 Mn 0.952 0.284 0.281
Mn3 Mn 0.426 0.825 0.298
Mn4 Mn 0.998 0.760 0.205
Mn5 Mn 0.004 0.235 0.788
Mn6 Mn 0.482 0.754 0.791
P1 P 0.722 0.028 0.900
P2 P 0.626 0.133 0.409
P3 P 0.220 0.531 0.902
P4 P 0.878 0.380 0.604
P5 P 0.119 0.616 0.400
P6 P 0.775 0.474 0.096
P7 P 0.383 0.873 0.597
P8 P 0.275 0.976 0.098
O1 O 0.224 0.044 0.611
O2 O 0.917 0.029 0.840
O3 O 0.569 0.190 0.897
O4 O 0.504 0.067 0.334
O5 O 0.226 0.335 0.824
O6 O 0.510 0.250 0.551
O7 O 0.806 0.261 0.680
O8 O 0.276 0.169 0.177
O9 O 0.705 0.031 0.039
O10 O 0.015 0.443 0.663
O11 O 0.793 0.468 0.956
O12 O 0.686 0.270 0.346
O13 O 0.982 0.250 0.461
O14 O 0.413 0.538 0.842
O15 O 0.064 0.693 0.906
O16 O 0.279 0.450 0.391
O17 O 0.979 0.551 0.342
O18 O 0.716 0.547 0.615
O19 O 0.927 0.311 0.097
O20 O 0.013 0.756 0.538
O21 O 0.581 0.471 0.160
O22 O 0.315 0.743 0.663
O23 O 0.201 0.531 0.042
O24 O 0.292 0.976 0.960
O25 O 0.721 0.834 0.824
O26 O 0.191 0.723 0.313
O27 O 0.493 0.749 0.453
O28 O 0.778 0.668 0.173
O29 O 0.517 0.934 0.662
O30 O 0.425 0.808 0.097
O31 O 0.076 0.976 0.156
O32 O 0.789 0.963 0.393
# Energy of formation (eV/atom): -2.56
# Energy (eV/atom): -6.79
# SG: No. 1

***

7.
# LiMn2P2O8 PBE+U optimized geometry
data_LiMn2P2O8
_cell_length_a 6.126
_cell_length_b 7.491
_cell_length_c 7.742
_cell_angle_alpha 80.28
_cell_angle_beta 82.20
_cell_angle_gamma 96.98
_space_group_name_H-M_alt 'P 1'
_space_group_IT_number 1
_space_group_name_Hall 'P 1'
loop_
_atom_site_label
_atom_site_type_symbol
_atom_site_fract_x
_atom_site_fract_y
_atom_site_fract_z
Li1 Li 0.183 0.982 0.502
Li2 Li 0.683 0.982 0.002
Mn1 Mn 0.855 0.631 0.884
Mn2 Mn 0.625 0.401 0.602
Mn3 Mn 0.355 0.631 0.384
Mn4 Mn 0.125 0.401 0.102
P1 P 0.912 0.731 0.267
P2 P 0.412 0.731 0.767
P3 P 0.093 0.265 0.735
P4 P 0.593 0.266 0.235
O1 O 0.083 0.581 0.261
O2 O 0.582 0.581 0.761
O3 O 0.300 0.385 0.603
O4 O 0.800 0.385 0.103
O5 O 0.351 0.789 0.581
O6 O 0.851 0.789 0.081
O7 O 0.029 0.880 0.342
O8 O 0.529 0.880 0.842
O9 O 0.039 0.080 0.689
O10 O 0.539 0.080 0.189
O11 O 0.646 0.243 0.430
O12 O 0.146 0.243 0.930
O13 O 0.695 0.626 0.390
O14 O 0.195 0.626 0.890
O15 O 0.898 0.385 0.717
O16 O 0.398 0.385 0.217
# E above lowest polymorph (eV/atom): 0.063
# Energy of formation (eV/atom): -2.48
# Energy (eV/atom): -7.23
# Largest piezoelectric modulus (C/m2): 1.1

***

Repeat the seventh record exactly.
# LiMn2P2O8 PBE+U optimized geometry
data_LiMn2P2O8
_cell_length_a 6.126
_cell_length_b 7.491
_cell_length_c 7.742
_cell_angle_alpha 80.28
_cell_angle_beta 82.20
_cell_angle_gamma 96.98
_space_group_name_H-M_alt 'P 1'
_space_group_IT_number 1
_space_group_name_Hall 'P 1'
loop_
_atom_site_label
_atom_site_type_symbol
_atom_site_fract_x
_atom_site_fract_y
_atom_site_fract_z
Li1 Li 0.183 0.982 0.502
Li2 Li 0.683 0.982 0.002
Mn1 Mn 0.855 0.631 0.884
Mn2 Mn 0.625 0.401 0.602
Mn3 Mn 0.355 0.631 0.384
Mn4 Mn 0.125 0.401 0.102
P1 P 0.912 0.731 0.267
P2 P 0.412 0.731 0.767
P3 P 0.093 0.265 0.735
P4 P 0.593 0.266 0.235
O1 O 0.083 0.581 0.261
O2 O 0.582 0.581 0.761
O3 O 0.300 0.385 0.603
O4 O 0.800 0.385 0.103
O5 O 0.351 0.789 0.581
O6 O 0.851 0.789 0.081
O7 O 0.029 0.880 0.342
O8 O 0.529 0.880 0.842
O9 O 0.039 0.080 0.689
O10 O 0.539 0.080 0.189
O11 O 0.646 0.243 0.430
O12 O 0.146 0.243 0.930
O13 O 0.695 0.626 0.390
O14 O 0.195 0.626 0.890
O15 O 0.898 0.385 0.717
O16 O 0.398 0.385 0.217
# E above lowest polymorph (eV/atom): 0.063
# Energy of formation (eV/atom): -2.48
# Energy (eV/atom): -7.23
# Largest piezoelectric modulus (C/m2): 1.1

***

Please write out number 2 again, unchanged.
# LiMnPO4 PBE+U optimized geometry
data_LiMnPO4
_cell_length_a 4.629
_cell_length_b 5.309
_cell_length_c 7.611
_cell_angle_alpha 90.21
_cell_angle_beta 104.20
_cell_angle_gamma 104.40
_space_group_name_H-M_alt 'P 1'
_space_group_IT_number 1
_space_group_name_Hall 'P 1'
loop_
_atom_site_label
_atom_site_type_symbol
_atom_site_fract_x
_atom_site_fract_y
_atom_site_fract_z
Li1 Li 0.726 0.717 0.987
Li2 Li 0.274 0.283 0.013
Mn1 Mn 0.054 0.238 0.394
Mn2 Mn 0.946 0.762 0.606
P1 P 0.647 0.194 0.743
P2 P 0.353 0.806 0.257
O1 O 0.840 0.377 0.629
O2 O 0.687 0.914 0.381
O3 O 0.160 0.623 0.371
O4 O 0.313 0.086 0.619
O5 O 0.205 0.038 0.203
O6 O 0.638 0.343 0.914
O7 O 0.362 0.657 0.086
O8 O 0.795 0.962 0.797
# E above lowest polymorph (eV/atom): 0.051
# Energy of formation (eV/atom): -2.58
# Energy (eV/atom): -7.13
# SG: No. 2

***

- energy of number 5 (LiMnP2O7)?
  -7.07 eV/atom